A plane-wave DFT calculation with PBE was carried out for a relaxed Na3HfSi2GePO12 crystal.

Cell lengths 8.892, 8.886, 22.224 Å; angles 90.08, 89.86, 120.01 degrees
Sites, in units of the cell vectors:
O1 0.832 0.297 0.529
O2 0.119 0.631 0.357
O3 0.464 0.172 0.524
O4 0.031 0.195 0.188
O5 0.491 0.638 0.575
O6 0.446 0.295 0.024
Ge1 0.656 0.328 0.683
O7 0.160 0.192 0.687
O8 0.542 0.833 0.477
O9 0.363 0.876 0.854
Si1 0.713 0.007 0.742
O10 0.160 0.456 0.975
Si2 0.363 0.323 0.085
O11 0.853 0.365 0.921
Si3 0.004 0.278 0.250
Na1 0.007 0.002 0.002
Na2 0.332 0.031 0.418
O12 0.839 0.820 0.590
O13 0.217 0.171 0.805
Ge2 0.339 0.681 0.519
O14 0.502 0.124 0.642
O15 0.517 0.840 0.748
O16 0.486 0.302 0.739
Si4 0.670 0.621 0.583
Ge3 0.674 0.336 0.484
Hf1 0.341 0.669 0.811
O17 0.496 0.364 0.141
Na3 0.337 0.667 0.664
O18 0.530 0.708 0.254
O19 0.302 0.474 0.750
O20 0.177 0.707 0.475
O21 0.164 0.964 0.195
Si5 0.038 0.662 0.419
Ge4 0.989 0.995 0.355
O22 0.973 0.172 0.587
O23 0.962 0.781 0.805
O24 0.827 0.295 0.247
Si6 0.631 0.967 0.419
O25 0.806 0.972 0.685
O26 0.168 0.478 0.253
O27 0.841 0.801 0.311
O28 0.807 0.842 0.190
Hf2 0.666 0.339 0.189
O29 0.507 0.884 0.359
O30 0.811 0.825 0.911
O31 0.967 0.153 0.309
O32 0.699 0.186 0.738
O33 0.168 0.154 0.092
Si7 0.036 0.371 0.916
O34 0.368 0.492 0.365
Si8 0.964 0.639 0.086
Na4 0.666 0.328 0.831
Na5 0.637 0.002 0.251
O35 0.819 0.973 0.412
P1 0.280 0.002 0.252
Si9 0.375 0.043 0.583
O36 0.299 0.836 0.255
O37 0.142 0.498 0.576
Na6 0.369 0.002 0.750
O38 0.127 0.493 0.857
O39 0.875 0.369 0.641
O40 0.299 0.457 0.477
O41 0.971 0.825 0.094
O42 0.026 0.184 0.912
O43 0.832 0.046 0.802
O44 0.842 0.554 0.026
P2 0.989 0.703 0.746
Si10 0.295 0.288 0.744
O45 0.509 0.635 0.863
Na7 0.673 0.335 0.337
Na8 0.331 0.299 0.918
P3 0.329 0.371 0.421
O46 0.704 0.531 0.248
P4 0.671 0.038 0.087
O47 0.703 0.157 0.031
O48 0.149 0.647 0.081
O49 0.700 0.534 0.522
O50 0.157 0.689 0.751
O51 0.627 0.489 0.640
O52 0.832 0.520 0.739
Hf3 0.999 0.007 0.850
O53 0.034 0.832 0.693
O54 0.364 0.852 0.576
O55 0.837 0.024 0.090
Na9 0.999 0.997 0.500
Na10 0.300 0.335 0.583
Ge5 0.008 0.002 0.149
O56 0.300 0.838 0.972
P5 0.628 0.668 0.918
O57 0.201 0.030 0.310
O58 0.639 0.155 0.429
O59 0.026 0.844 0.412
P6 0.957 0.339 0.583
O60 0.639 0.119 0.143
Na11 0.668 0.965 0.584
Na12 0.997 0.362 0.749
Hf4 0.327 0.668 0.020
Na13 0.975 0.669 0.918
O61 0.157 0.973 0.911
O62 0.171 0.188 0.412
O63 0.184 0.031 0.591
Na14 0.032 0.333 0.086
Na15 0.700 0.666 0.419
Na16 0.666 0.693 0.085
O64 0.497 0.357 0.424
O65 0.876 0.508 0.143
Si11 0.720 0.722 0.250
O66 0.841 0.494 0.427
Ge6 0.999 0.990 0.646
Hf5 0.663 0.328 0.983
Na17 0.000 0.629 0.252
O67 0.501 0.158 0.919
Hf6 0.331 0.660 0.315
Si12 0.336 0.964 0.914
O68 0.548 0.696 0.975
Na18 0.331 0.660 0.167
O69 0.643 0.503 0.922
O70 0.351 0.501 0.081
O71 0.514 0.856 0.079
O72 0.464 0.157 0.247

Computed properties:
* energy above the lowest structure with this stoichiometry: 8 meV/atom
* magnetization: 0.00 μB per atom
* SG: No. 1

***

A plane-wave DFT calculation with PBE was carried out for a relaxed MgSbRh2 crystal.

Cell lengths 4.510, 4.510, 4.510 Å; angles 60.00, 60.00, 60.00 degrees
Sites, in units of the cell vectors:
Sb1 0.000 0.000 0.000
Mg1 0.500 0.500 0.500
Rh1 0.750 0.750 0.750
Rh2 0.250 0.250 0.250

Computed properties:
* SG: No. 225

***

no.,DFT formation energy (eV/atom)
1,-2.8637
2,-0.5215